# NaCrS2

Crystalline NaCrS2 at its relaxed geometry (PBE, Materials Project).

SG: P-3m1 (164)
ΔE_f in eV/atom: -1.192
Total energy after the MP2020 corrections in hartree per atom: -0.221
Density in kg/m³: 3154

Lattice parameters (Å, degrees): 3.5769 3.5769 6.6109 90.00 90.00 120.00
Closest atoms and distances in Å follow each position.
Positions (direct):
Na 0.0000 0.0000 0.0000  6 S 2.88
Cr 0.0000 0.0000 0.5000  6 S 2.44
S 0.3333 0.6667 0.3044  3 Cr 2.44
S 0.6667 0.3333 0.6956  3 Cr 2.44